Record 1
Density functional theory data (meta-GGA r2SCAN) for crystalline CsPO2F2 at its relaxed geometry.

Cell lengths 6.865, 7.968, 8.240 Å; angles 90.00, 90.00, 90.00 degrees
Fractional positions:
O 0.438 0.731 0.618
O 0.938 0.269 0.382
F 0.750 0.046 0.522
O 0.562 0.269 0.382
O 0.062 0.769 0.118
F 0.250 0.954 0.478
F 0.750 0.050 0.236
O 0.438 0.769 0.118
F 0.750 0.454 0.022
O 0.562 0.231 0.882
P 0.750 0.180 0.381
F 0.250 0.950 0.764
O 0.938 0.231 0.882
F 0.250 0.546 0.978
Cs 0.250 0.357 0.633
Cs 0.750 0.643 0.367
F 0.250 0.550 0.264
O 0.062 0.731 0.618
P 0.250 0.680 0.119
Cs 0.250 0.143 0.133
P 0.750 0.320 0.881
P 0.250 0.820 0.619
F 0.750 0.450 0.736
Cs 0.750 0.857 0.867

Properties
calculated formation energy = -2.70 eV per atom
symmetry = Pnma, No. 62

Record 2
Density functional theory data (meta-GGA r2SCAN) for crystalline K2Mg2S3O12 at its relaxed geometry.

Cell lengths 9.901, 9.901, 9.901 Å; angles 90.00, 90.00, 90.00 degrees
Fractional positions:
O 0.349 0.001 0.410
Mg 0.085 0.085 0.085
S 0.626 0.534 0.232
O 0.752 0.514 0.308
O 0.090 0.651 0.501
O 0.014 0.192 0.248
O 0.579 0.675 0.244
O 0.421 0.175 0.256
O 0.244 0.579 0.675
K 0.433 0.067 0.933
S 0.874 0.466 0.732
K 0.067 0.933 0.433
O 0.514 0.308 0.752
O 0.744 0.921 0.325
O 0.209 0.476 0.944
O 0.692 0.252 0.986
O 0.590 0.849 0.499
S 0.268 0.374 0.034
S 0.374 0.034 0.268
S 0.534 0.232 0.626
O 0.976 0.556 0.791
S 0.034 0.268 0.374
O 0.175 0.256 0.421
Mg 0.415 0.915 0.585
S 0.232 0.626 0.534
S 0.466 0.732 0.874
O 0.944 0.209 0.476
O 0.499 0.590 0.849
K 0.797 0.797 0.797
O 0.001 0.410 0.349
K 0.567 0.567 0.567
O 0.308 0.752 0.514
S 0.126 0.966 0.768
O 0.079 0.825 0.756
O 0.748 0.486 0.808
O 0.501 0.090 0.651
O 0.756 0.079 0.825
O 0.556 0.791 0.976
Mg 0.151 0.651 0.849
S 0.732 0.874 0.466
O 0.808 0.748 0.486
O 0.849 0.499 0.590
O 0.151 0.999 0.910
O 0.791 0.976 0.556
K 0.933 0.433 0.067
O 0.256 0.421 0.175
O 0.024 0.056 0.709
O 0.444 0.291 0.524
O 0.921 0.325 0.744
K 0.203 0.297 0.703
O 0.675 0.244 0.579
O 0.325 0.744 0.921
O 0.291 0.524 0.444
Mg 0.915 0.585 0.415
O 0.986 0.692 0.252
K 0.297 0.703 0.203
O 0.709 0.024 0.056
O 0.056 0.709 0.024
Mg 0.651 0.849 0.151
Mg 0.349 0.349 0.349
O 0.910 0.151 0.999
Mg 0.849 0.151 0.651
O 0.825 0.756 0.079
O 0.410 0.349 0.001
S 0.966 0.768 0.126
O 0.192 0.248 0.014
O 0.248 0.014 0.192
Mg 0.585 0.415 0.915
O 0.486 0.808 0.748
O 0.999 0.910 0.151
O 0.252 0.986 0.692
S 0.768 0.126 0.966
O 0.651 0.501 0.090
O 0.476 0.944 0.209
K 0.703 0.203 0.297
O 0.524 0.444 0.291

Properties
calculated formation energy = -2.15 eV per atom
symmetry = P2_13, No. 198

Record 3
Density functional theory data (meta-GGA r2SCAN) for crystalline Rb3Yb at its relaxed geometry.

Cell lengths 7.281, 7.281, 7.281 Å; angles 121.02, 121.02, 88.25 degrees
Fractional positions:
Yb 0.000 0.000 0.000
Rb 0.250 0.750 0.500
Rb 0.500 0.500 0.000
Rb 0.750 0.250 0.500

Properties
calculated formation energy = 0.68 eV per atom
symmetry = I4/mmm, No. 139
energy above the most stable polymorph in this dataset = 36 meV/atom

Record 4
Density functional theory data (meta-GGA r2SCAN) for crystalline Lu2ZnIn at its relaxed geometry.

Cell lengths 5.051, 5.051, 5.051 Å; angles 60.00, 60.00, 60.00 degrees
Fractional positions:
Zn 0.750 0.750 0.750
In 0.250 0.250 0.250
Lu 0.500 0.500 0.500
Lu 0.000 0.000 0.000

Properties
calculated formation energy = -0.45 eV per atom
symmetry = Fm-3m, No. 225

Record 5
Density functional theory data (meta-GGA r2SCAN) for crystalline SiBr4 at its relaxed geometry.

Cell lengths 6.823, 10.406, 10.575 Å; angles 102.91, 90.00, 90.00 degrees
Fractional positions:
Br 0.120 0.806 0.412
Br 0.921 0.702 0.022
Br 0.579 0.702 0.522
Si 0.925 0.249 0.143
Si 0.075 0.751 0.857
Br 0.380 0.806 0.912
Br 0.573 0.916 0.300
Br 0.421 0.298 0.478
Si 0.425 0.751 0.357
Br 0.926 0.422 0.307
Br 0.079 0.298 0.978
Br 0.574 0.422 0.807
Br 0.427 0.084 0.700
Br 0.426 0.578 0.193
Br 0.074 0.578 0.693
Br 0.073 0.084 0.200
Si 0.575 0.249 0.643
Br 0.620 0.194 0.088
Br 0.927 0.916 0.800
Br 0.880 0.194 0.588

Properties
calculated formation energy = -0.92 eV per atom
symmetry = P2_1/c, No. 14

Record 6
Density functional theory data (meta-GGA r2SCAN) for crystalline Y3Si12Os4 at its relaxed geometry.

Cell lengths 10.101, 10.101, 8.140 Å; angles 90.00, 90.00, 132.50 degrees
Fractional positions:
Si 0.295 0.705 0.000
Si 0.386 0.620 0.773
Si 0.114 0.880 0.273
Y 0.500 0.500 0.500
Si 0.656 0.891 0.496
Os 0.169 0.831 0.000
Si 0.156 0.391 0.004
Y 0.498 0.998 0.250
Si 0.166 0.166 0.334
Os 0.628 0.628 0.872
Si 0.834 0.834 0.666
Si 0.666 0.666 0.166
Si 0.380 0.614 0.227
Os 0.331 0.669 0.500
Os 0.128 0.128 0.628
Si 0.344 0.109 0.504
Os 0.669 0.331 0.500
Si 0.705 0.295 0.000
Y 0.000 0.000 0.000
Si 0.391 0.156 0.004
Si 0.880 0.114 0.273
Si 0.109 0.344 0.504
Os 0.831 0.169 0.000
Y 0.998 0.498 0.250
Si 0.844 0.609 0.996
Si 0.120 0.886 0.727
Os 0.372 0.372 0.128
Si 0.614 0.380 0.227
Os 0.872 0.872 0.372
Si 0.620 0.386 0.773
Si 0.795 0.205 0.500
Y 0.502 0.002 0.750
Si 0.609 0.844 0.996
Si 0.334 0.334 0.834
Si 0.891 0.656 0.496
Y 0.002 0.502 0.750
Si 0.886 0.120 0.727
Si 0.205 0.795 0.500

Properties
calculated formation energy = -0.60 eV per atom
symmetry = Cmce, No. 64

Asked for M_tot across the records above, the calculation gives 0.00, 0.00, 0.00, 0.00, 0.00, 0.00 μB/cell in order.